{"formula": "Li2TiP5O15", "functional": "PBE-GGA", "state": "optimized geometry", "formation_energy_kj_per_mol_atoms": -261.1, "magmom_total_mub_per_cell": 2.00, "spacegroup": "P2_1/m", "crystal_system": "monoclinic", "cell": [[-8.2860, 9.5382, -4.7296], [-1.2383, -3.0684, -4.0186], [-6.9981, -4.5377, 3.1091]], "species": ["Li", "Li", "Li", "Li", "Ti", "Ti", "P", "P", "P", "P", "P", "P", "P", "P", "P", "P", "O", "O", "O", "O", "O", "O", "O", "O", "O", "O", "O", "O", "O", "O", "O", "O", "O", "O", "O", "O", "O", "O", "O", "O", "O", "O", "O", "O", "O", "O"], "frac_coords": [[0.3866, 0.0663, 0.8962], [0.8866, 0.9337, 0.1038], [0.6134, 0.9337, 0.1038], [0.1134, 0.0663, 0.8962], [0.0000, 0.5000, 0.5000], [0.5000, 0.5000, 0.5000], [0.6411, 0.0001, 0.5158], [0.0764, 0.3436, 0.1839], [0.4236, 0.3436, 0.1839], [0.1411, 0.9999, 0.4842], [0.8589, 0.0001, 0.5158], [0.7500, 0.4555, 0.0122], [0.5764, 0.6564, 0.8161], [0.2500, 0.5445, 0.9878], [0.9236, 0.6564, 0.8161], [0.3589, 0.9999, 0.4842], [0.7500, 0.7142, 0.0609], [0.8742, 0.2910, 0.5032], [0.0319, 0.1936, 0.0754], [0.2500, 0.8053, 0.8774], [0.6258, 0.2910, 0.5032], [0.6575, 0.4453, 0.8944], [0.1258, 0.7090, 0.4968], [0.3553, 0.1415, 0.3073], [0.4681, 0.1936, 0.0754], [0.5739, 0.8586, 0.4242], [0.0091, 0.4908, 0.2722], [0.4909, 0.4908, 0.2722], [0.0739, 0.1414, 0.5758], [0.9681, 0.8064, 0.9246], [0.7500, 0.9551, 0.4588], [0.8425, 0.4453, 0.8944], [0.4261, 0.1414, 0.5758], [0.8553, 0.8585, 0.6927], [0.1575, 0.5547, 0.1056], [0.3425, 0.5547, 0.1056], [0.6447, 0.8585, 0.6927], [0.2500, 0.0449, 0.5412], [0.2500, 0.2858, 0.9391], [0.5319, 0.8064, 0.9246], [0.9261, 0.8586, 0.4242], [0.1447, 0.1415, 0.3073], [0.5091, 0.5092, 0.7278], [0.9909, 0.5092, 0.7278], [0.7500, 0.1947, 0.1226], [0.3742, 0.7090, 0.4968]]}

=====

{"formula": "Tm6Ni2Sn", "functional": "PBE-GGA", "state": "optimized geometry", "formation_energy_kj_per_mol_atoms": -41.5, "magmom_total_mub_per_cell": 0.00, "spacegroup": "Immm", "crystal_system": "orthorhombic", "cell": [[-1.4104, -2.3070, 7.8441], [8.0272, -0.5177, -2.0356], [-2.1028, 7.9504, -1.0987]], "species": ["Tm", "Tm", "Tm", "Tm", "Tm", "Tm", "Tm", "Tm", "Tm", "Tm", "Tm", "Tm", "Ni", "Ni", "Ni", "Ni", "Sn", "Sn"], "frac_coords": [[0.7058, 0.2671, 0.9728], [0.2942, 0.7330, 0.0272], [0.7058, 0.7329, 0.4387], [0.2942, 0.2670, 0.5612], [0.8080, 0.1347, 0.3268], [0.8080, 0.4812, 0.6733], [0.1920, 0.8653, 0.6732], [0.1920, 0.5188, 0.3267], [0.6148, 0.7959, 0.8188], [0.9771, 0.7959, 0.1812], [0.0229, 0.2041, 0.8188], [0.3852, 0.2041, 0.1811], [0.8528, 0.5000, 0.3527], [0.1473, 0.5000, 0.6473], [0.0000, 0.1282, 0.1281], [0.0000, 0.8719, 0.8719], [0.5000, 0.5000, 0.9999], [0.5000, 0.0000, 0.5000]]}

=====

{"formula": "Dy3Co8Sn4", "functional": "PBE-GGA", "state": "optimized geometry", "formation_energy_kj_per_mol_atoms": -29.0, "spacegroup": "P6_3mc", "crystal_system": "hexagonal", "cell": [[0.0000, 0.0000, -7.5423], [-4.4086, -7.6358, 0.0000], [-4.4086, 7.6358, 0.0000]], "species": ["Dy", "Dy", "Dy", "Dy", "Dy", "Dy", "Co", "Co", "Co", "Co", "Co", "Co", "Co", "Co", "Co", "Co", "Co", "Co", "Co", "Co", "Co", "Co", "Sn", "Sn", "Sn", "Sn", "Sn", "Sn", "Sn", "Sn"], "frac_coords": [[0.7855, 0.4751, 0.9501], [0.7855, 0.4751, 0.5249], [0.2855, 0.5249, 0.0499], [0.7855, 0.0499, 0.5249], [0.2855, 0.5249, 0.4751], [0.2855, 0.9501, 0.4751], [0.6256, 0.6667, 0.3333], [0.1256, 0.3333, 0.6667], [0.7561, 0.0984, 0.1968], [0.7561, 0.0984, 0.9016], [0.2561, 0.9016, 0.8032], [0.7561, 0.8032, 0.9016], [0.2561, 0.9016, 0.0984], [0.2561, 0.1968, 0.0984], [0.9401, 0.8396, 0.6792], [0.9401, 0.8396, 0.1604], [0.4401, 0.1604, 0.3208], [0.9401, 0.3208, 0.1604], [0.4401, 0.1604, 0.8396], [0.4401, 0.6792, 0.8396], [0.9995, 0.0000, 0.0000], [0.4995, 0.0000, 0.0000], [0.9761, 0.6667, 0.3333], [0.4761, 0.3333, 0.6667], [0.5730, 0.8295, 0.6590], [0.5730, 0.8295, 0.1705], [0.0730, 0.1705, 0.3410], [0.5730, 0.3410, 0.1705], [0.0730, 0.1705, 0.8295], [0.0730, 0.6590, 0.8295]]}

=====

{"formula": "KEuPS4", "functional": "PBE-GGA", "state": "optimized geometry", "formation_energy_kj_per_mol_atoms": -138.2, "magmom_total_mub_per_cell": 28.00, "spacegroup": "Pnma", "crystal_system": "orthorhombic", "cell": [[6.5406, 0.0000, 0.0000], [0.0000, 6.6455, 0.0000], [0.0000, 0.0000, 16.8589]], "species": ["K", "K", "K", "K", "Eu", "Eu", "Eu", "Eu", "P", "P", "P", "P", "S", "S", "S", "S", "S", "S", "S", "S", "S", "S", "S", "S", "S", "S", "S", "S"], "frac_coords": [[0.9814, 0.7500, 0.7117], [0.5186, 0.7500, 0.2117], [0.0186, 0.2500, 0.2883], [0.4814, 0.2500, 0.7883], [0.2920, 0.2500, 0.5220], [0.7080, 0.7500, 0.4780], [0.7920, 0.7500, 0.9780], [0.2080, 0.2500, 0.0220], [0.7791, 0.2500, 0.5981], [0.2791, 0.7500, 0.9019], [0.7209, 0.2500, 0.0981], [0.2209, 0.7500, 0.4019], [0.0347, 0.2500, 0.6677], [0.4653, 0.2500, 0.1677], [0.6004, 0.0017, 0.6214], [0.3996, 0.5017, 0.3786], [0.8996, 0.0017, 0.1214], [0.8442, 0.2500, 0.4780], [0.3442, 0.7500, 0.0220], [0.3996, 0.9983, 0.3786], [0.1558, 0.7500, 0.5220], [0.6004, 0.4983, 0.6214], [0.1004, 0.9983, 0.8786], [0.8996, 0.4983, 0.1214], [0.6558, 0.2500, 0.9780], [0.9653, 0.7500, 0.3323], [0.1004, 0.5017, 0.8786], [0.5347, 0.7500, 0.8323]]}

=====

{"formula": "Ba2CuF6", "functional": "PBE-GGA", "state": "optimized geometry", "formation_energy_kj_per_mol_atoms": -325.7, "spacegroup": "I4/mmm", "crystal_system": "tetragonal", "relative_energy_mev_per_atom": 16, "cell": [[4.2230, 0.0000, 0.0000], [0.0000, 4.2230, 0.0000], [-2.1115, -2.1115, 7.9530]], "species": ["Ba", "Ba", "Cu", "F", "F", "F", "F", "F", "F"], "frac_coords": [[0.1494, 0.1494, 0.2989], [0.8506, 0.8506, 0.7011], [0.5000, 0.5000, 0.0000], [0.3803, 0.3803, 0.7607], [0.5000, 0.0000, 0.0000], [0.0000, 0.5000, 0.0000], [0.6197, 0.6197, 0.2393], [0.7500, 0.2500, 0.5000], [0.2500, 0.7500, 0.5000]]}

=====

{"formula": "Cu2S", "functional": "PBE-GGA", "state": "optimized geometry", "formation_energy_kj_per_mol_atoms": -25.2, "spacegroup": "C2/c", "crystal_system": "monoclinic", "cell": [[3.4079, 2.0213, 0.0000], [-3.4079, 2.0213, 0.0000], [0.0000, 0.3729, 7.2876]], "species": ["Cu", "Cu", "Cu", "Cu", "S", "S"], "frac_coords": [[0.0000, 0.5000, 0.5000], [0.5000, 0.0000, 0.0000], [0.0143, 0.9857, 0.2500], [0.9857, 0.0143, 0.7500], [0.3664, 0.6336, 0.2500], [0.6336, 0.3664, 0.7500]]}

=====

{"formula": "Bi2P3Pb3O12", "functional": "PBE-GGA", "state": "optimized geometry", "formation_energy_kj_per_mol_atoms": -197.2, "magmom_total_mub_per_cell": 0.01, "spacegroup": "P6_3/m", "crystal_system": "hexagonal", "cell": [[4.8935, -8.4758, 0.0000], [4.8935, 8.4758, 0.0000], [0.0000, 0.0000, 7.5110]], "species": ["Bi", "Bi", "Bi", "Bi", "P", "P", "P", "P", "P", "P", "Pb", "Pb", "Pb", "Pb", "Pb", "Pb", "O", "O", "O", "O", "O", "O", "O", "O", "O", "O", "O", "O", "O", "O", "O", "O", "O", "O", "O", "O", "O", "O", "O", "O"], "frac_coords": [[0.3333, 0.6667, 0.9987], [0.6667, 0.3333, 0.0013], [0.6667, 0.3333, 0.4987], [0.3333, 0.6667, 0.5013], [0.4040, 0.0318, 0.2500], [0.5960, 0.9682, 0.7500], [0.9682, 0.3721, 0.2500], [0.0318, 0.6279, 0.7500], [0.6279, 0.5960, 0.2500], [0.3721, 0.4040, 0.7500], [0.2210, 0.2254, 0.2500], [0.7790, 0.7746, 0.7500], [0.7746, 0.9956, 0.2500], [0.2254, 0.0044, 0.7500], [0.0044, 0.7790, 0.2500], [0.9956, 0.2210, 0.7500], [0.3443, 0.0790, 0.0817], [0.6557, 0.9210, 0.9183], [0.9210, 0.2654, 0.0817], [0.6557, 0.9210, 0.5817], [0.0790, 0.7346, 0.9183], [0.3443, 0.0790, 0.4183], [0.7346, 0.6557, 0.0817], [0.0790, 0.7346, 0.5817], [0.2654, 0.3443, 0.9183], [0.9210, 0.2654, 0.4183], [0.2654, 0.3443, 0.5817], [0.7346, 0.6557, 0.4183], [0.5908, 0.1367, 0.2500], [0.4092, 0.8633, 0.7500], [0.8633, 0.4541, 0.2500], [0.1367, 0.5459, 0.7500], [0.5459, 0.4092, 0.2500], [0.4541, 0.5908, 0.7500], [0.1471, 0.4994, 0.2500], [0.8529, 0.5006, 0.7500], [0.5006, 0.6477, 0.2500], [0.4994, 0.3523, 0.7500], [0.3523, 0.8529, 0.2500], [0.6477, 0.1471, 0.7500]]}

=====

{"formula": "Ba2Ti3Nb4O18", "functional": "PBE-GGA", "state": "optimized geometry", "formation_energy_kj_per_mol_atoms": -318.8, "magmom_total_mub_per_cell": 0.00, "spacegroup": "P2_1/c", "crystal_system": "monoclinic", "cell": [[10.0750, 0.0000, 0.0000], [0.0000, 7.5132, 0.0000], [0.0000, 3.7234, 9.4646]], "species": ["Ba", "Ba", "Ba", "Ba", "Ti", "Ti", "Ti", "Ti", "Ti", "Ti", "Nb", "Nb", "Nb", "Nb", "Nb", "Nb", "Nb", "Nb", "O", "O", "O", "O", "O", "O", "O", "O", "O", "O", "O", "O", "O", "O", "O", "O", "O", "O", "O", "O", "O", "O", "O", "O", "O", "O", "O", "O", "O", "O", "O", "O", "O", "O", "O", "O"], "frac_coords": [[0.0872, 0.9336, 0.2047], [0.5872, 0.5664, 0.7953], [0.9128, 0.0664, 0.7953], [0.4128, 0.4336, 0.2047], [0.5000, 0.0000, 0.0000], [0.0000, 0.5000, 0.0000], [0.0151, 0.4079, 0.3758], [0.5151, 0.0921, 0.6242], [0.9849, 0.5921, 0.6242], [0.4849, 0.9079, 0.3758], [0.7542, 0.6517, 0.1029], [0.2542, 0.8483, 0.8971], [0.2458, 0.3483, 0.8971], [0.7458, 0.1517, 0.1029], [0.2721, 0.4869, 0.5148], [0.7721, 0.0131, 0.4852], [0.7279, 0.5131, 0.4852], [0.2279, 0.9869, 0.5148], [0.1751, 0.9579, 0.7023], [0.6751, 0.5421, 0.2977], [0.8249, 0.0421, 0.2977], [0.3249, 0.4579, 0.7023], [0.0671, 0.5222, 0.8082], [0.5671, 0.9778, 0.1918], [0.9329, 0.4778, 0.1918], [0.4329, 0.0222, 0.8082], [0.1710, 0.5389, 0.3213], [0.6710, 0.9611, 0.6787], [0.8290, 0.4611, 0.6787], [0.3290, 0.0389, 0.3213], [0.1613, 0.3569, 0.0693], [0.6613, 0.1431, 0.9307], [0.8387, 0.6431, 0.9307], [0.3387, 0.8569, 0.0693], [0.0835, 0.3873, 0.5815], [0.5835, 0.1127, 0.4185], [0.9165, 0.6127, 0.4185], [0.4165, 0.8873, 0.5815], [0.0894, 0.7443, 0.9830], [0.5894, 0.7557, 0.0170], [0.9106, 0.2557, 0.0170], [0.4106, 0.2443, 0.9830], [0.1598, 0.7497, 0.5085], [0.6598, 0.7503, 0.4915], [0.8402, 0.2503, 0.4915], [0.3402, 0.2497, 0.5085], [0.1647, 0.1237, 0.9014], [0.6647, 0.3763, 0.0986], [0.8353, 0.8763, 0.0986], [0.3353, 0.6237, 0.9014], [0.0930, 0.1602, 0.4059], [0.5930, 0.3398, 0.5941], [0.9070, 0.8398, 0.5941], [0.4070, 0.6602, 0.4059]]}

=====

{"formula": "Y2C", "functional": "PBE-GGA", "state": "optimized geometry", "formation_energy_kj_per_mol_atoms": -28.2, "spacegroup": "R-3m", "crystal_system": "trigonal", "cell": [[-1.4146, -2.9010, -1.6301], [-3.4873, -0.0162, -0.9552], [-0.1462, 1.3767, -6.3333]], "species": ["Y", "Y", "C"], "frac_coords": [[0.7399, 0.7399, 0.7804], [0.2601, 0.2601, 0.2196], [0.0000, 0.0000, 0.0000]]}

=====

{"formula": "Zr5Si3", "functional": "PBE-GGA", "state": "optimized geometry", "formation_energy_kj_per_mol_atoms": -76.6, "spacegroup": "P6_3/mcm", "crystal_system": "hexagonal", "relative_energy_mev_per_atom": 0, "cell": [[3.5961, 0.9710, 7.1003], [-4.7168, -6.3586, -1.2687], [4.3974, -2.8966, -1.8310]], "species": ["Zr", "Zr", "Zr", "Zr", "Zr", "Zr", "Zr", "Zr", "Zr", "Zr", "Si", "Si", "Si", "Si", "Si", "Si"], "frac_coords": [[0.7475, 0.7475, 0.2500], [0.0000, 0.2525, 0.2500], [0.7475, 0.0000, 0.7500], [0.3333, 0.6667, 0.5000], [0.2525, 0.0000, 0.2500], [0.6667, 0.3333, 0.5000], [0.0000, 0.7475, 0.7500], [0.3333, 0.6667, 0.0000], [0.2525, 0.2525, 0.7500], [0.6667, 0.3333, 0.0000], [0.6105, 0.6105, 0.7500], [0.3895, 0.0000, 0.7500], [0.6105, 0.0000, 0.2500], [0.0000, 0.3895, 0.7500], [0.3895, 0.3895, 0.2500], [0.0000, 0.6105, 0.2500]]}

=====

{"formula": "CrPPd", "functional": "PBE-GGA", "state": "optimized geometry", "formation_energy_kj_per_mol_atoms": -34.0, "magmom_total_mub_per_cell": 9.23, "spacegroup": "P-62m", "crystal_system": "hexagonal", "cell": [[0.3806, 3.5209, -0.6541], [-2.7209, 1.3454, 5.6589], [6.3634, -0.7626, -0.4025]], "species": ["Cr", "Cr", "Cr", "P", "P", "P", "Pd", "Pd", "Pd"], "frac_coords": [[0.5000, 0.6059, 0.0000], [0.5000, 0.3941, 0.3941], [0.5000, 0.0000, 0.6059], [0.0000, 0.3333, 0.6667], [0.0000, 0.6667, 0.3333], [0.5000, 0.0000, 0.0000], [0.0000, 0.2690, 0.0000], [0.0000, 0.7310, 0.7310], [0.0000, 0.0000, 0.2690]]}

=====

{"formula": "LuCu2Sn2", "functional": "PBE-GGA", "state": "optimized geometry", "formation_energy_kj_per_mol_atoms": -23.0, "magmom_total_mub_per_cell": 0.06, "spacegroup": "P4/nmm", "crystal_system": "tetragonal", "cell": [[-2.0686, 1.8904, -3.2684], [-3.7476, -1.4823, 1.5145], [-1.1716, 9.0937, 6.0011]], "species": ["Lu", "Lu", "Cu", "Cu", "Cu", "Cu", "Sn", "Sn", "Sn", "Sn"], "frac_coords": [[0.0000, 0.5000, 0.2327], [0.5000, 0.0000, 0.7673], [0.0000, 0.0000, 0.0000], [0.5000, 0.5000, 0.0000], [0.0000, 0.5000, 0.6419], [0.5000, 0.0000, 0.3581], [0.0000, 0.0000, 0.5000], [0.5000, 0.5000, 0.5000], [0.0000, 0.5000, 0.8675], [0.5000, 0.0000, 0.1325]]}

=====

{"formula": "VN", "functional": "PBE-GGA", "state": "optimized geometry", "formation_energy_kj_per_mol_atoms": -111.1, "magmom_total_mub_per_cell": 0.01, "spacegroup": "Fm-3m", "crystal_system": "cubic", "cell": [[0.0000, 2.0625, 2.0625], [2.0625, 0.0000, 2.0625], [2.0625, 2.0625, 0.0000]], "species": ["V", "N"], "frac_coords": [[0.0000, 0.0000, 0.0000], [0.5000, 0.5000, 0.5000]]}

=====

{"formula": "UAsP", "functional": "PBE-GGA", "state": "optimized geometry", "formation_energy_kj_per_mol_atoms": -75.1, "spacegroup": "P4/nmm", "crystal_system": "tetragonal", "cell": [[-0.3082, -0.4132, 3.8209], [0.1000, -3.8327, -0.4064], [7.9213, 0.1373, 0.6538]], "species": ["U", "U", "As", "As", "P", "P"], "frac_coords": [[0.0000, 0.5000, 0.7042], [0.5000, 0.0000, 0.2958], [0.0000, 0.0000, 0.0000], [0.5000, 0.5000, 0.0000], [0.0000, 0.5000, 0.3556], [0.5000, 0.0000, 0.6444]]}

=====

{"formula": "NdSmFe17N3", "functional": "PBE-GGA", "state": "optimized geometry", "formation_energy_kj_per_mol_atoms": -24.4, "magmom_total_mub_per_cell": 38.60, "spacegroup": "R3m", "crystal_system": "trigonal", "cell": [[4.8731, -4.3582, 0.0000], [4.8731, 4.3582, 0.0000], [0.9754, 0.0000, 6.4645]], "species": ["Nd", "Sm", "Fe", "Fe", "Fe", "Fe", "Fe", "Fe", "Fe", "Fe", "Fe", "Fe", "Fe", "Fe", "Fe", "Fe", "Fe", "Fe", "Fe", "N", "N", "N"], "frac_coords": [[0.6566, 0.6566, 0.6566], [0.3425, 0.3425, 0.3425], [0.3416, 0.3416, 0.8585], [0.8585, 0.3416, 0.3416], [0.3416, 0.8585, 0.3416], [0.6578, 0.6578, 0.1428], [0.1428, 0.6578, 0.6578], [0.6578, 0.1428, 0.6578], [0.7174, 0.2822, 0.0005], [0.0005, 0.7174, 0.2822], [0.2822, 0.0005, 0.7174], [0.0005, 0.2822, 0.7174], [0.7174, 0.0005, 0.2822], [0.2822, 0.7174, 0.0005], [0.9997, 0.9997, 0.5000], [0.5000, 0.9997, 0.9997], [0.9997, 0.5000, 0.9997], [0.9060, 0.9060, 0.9060], [0.0945, 0.0945, 0.0945], [0.4987, 0.4987, 0.0033], [0.0033, 0.4987, 0.4987], [0.4987, 0.0033, 0.4987]]}

=====

{"formula": "SmNiSn", "functional": "PBE-GGA", "state": "optimized geometry", "formation_energy_kj_per_mol_atoms": -62.1, "spacegroup": "P-62m", "crystal_system": "hexagonal", "cell": [[3.6891, -6.3898, 0.0000], [3.6891, 6.3898, 0.0000], [0.0000, 0.0000, 3.9929]], "species": ["Sm", "Sm", "Sm", "Ni", "Ni", "Ni", "Sn", "Sn", "Sn"], "frac_coords": [[0.5917, 0.0000, 0.0000], [0.0000, 0.5917, 0.0000], [0.4083, 0.4083, 0.0000], [0.3333, 0.6667, 0.5000], [0.6667, 0.3333, 0.5000], [0.0000, 0.0000, 0.0000], [0.2524, 0.0000, 0.5000], [0.0000, 0.2524, 0.5000], [0.7476, 0.7476, 0.5000]]}